(1)
Computed, not measured: Zr5In4Rh2 after structural relaxation at the PBE level of DFT.

Output
volume	463	Å³/cell
calculated formation energy	-529	meV/atom
total energy	-148.6	eV/cell

abc: 7.688 17.624 3.417
angles: 90.00 90.00 90.00
Space group Pbam (No. 55)
Symmetry-distinct sites (fractional):
Zr 0.000 0.000 0.000 [2 per cell]
Zr 0.136 0.420 0.000 [4 per cell]
Zr 0.242 0.721 0.000 [4 per cell]
In 0.064 0.850 0.500 [4 per cell]
In 0.200 0.568 0.500 [4 per cell]
Rh 0.048 0.307 0.500 [4 per cell]

=====

(2)
Computed, not measured: Cs4B9S9 after structural relaxation at the PBE level of DFT.

Output
volume	1152	Å³/cell
calculated formation energy	-988	meV/atom
total energy	-236.3	eV/cell

abc: 10.631 10.731 11.162
angles: 93.10 103.05 110.23
Space group P-1 (No. 2)
Symmetry-distinct sites (fractional):
Cs 0.113 0.369 0.128 [2 per cell]
Cs 0.151 0.010 0.379 [2 per cell]
Cs 0.254 0.622 0.470 [2 per cell]
Cs 0.318 0.380 0.757 [2 per cell]
B 0.152 0.823 0.703 [2 per cell]
B 0.182 0.773 0.142 [2 per cell]
B 0.340 0.968 0.020 [2 per cell]
B 0.372 0.860 0.916 [2 per cell]
B 0.380 0.022 0.880 [2 per cell]
B 0.430 0.252 0.248 [2 per cell]
B 0.439 0.870 0.080 [2 per cell]
B 0.455 0.136 0.024 [2 per cell]
B 0.491 0.042 0.144 [2 per cell]
S 0.006 0.746 0.573 [2 per cell]
S 0.042 0.674 0.200 [2 per cell]
S 0.169 0.913 0.058 [2 per cell]
S 0.225 0.722 0.806 [2 per cell]
S 0.236 0.009 0.742 [2 per cell]
S 0.343 0.738 0.163 [2 per cell]
S 0.407 0.363 0.358 [2 per cell]
S 0.414 0.279 0.083 [2 per cell]
S 0.476 0.108 0.295 [2 per cell]

=====

(3)
Computed, not measured: SiO2 after structural relaxation at the PBE level of DFT.

Output
volume	862	Å³/cell
calculated formation energy	-3175	meV/atom
total energy	-375.6	eV/cell

abc: 12.958 12.958 5.136
angles: 90.00 90.00 90.00
Space group I-42m (No. 121)
Symmetry-distinct sites (fractional):
Si 0.000 0.154 0.000 [8 per cell]
Si 0.200 0.200 0.229 [8 per cell]
O 0.075 0.223 0.189 [16 per cell]
O 0.079 0.079 0.833 [8 per cell]
O 0.234 0.234 0.518 [8 per cell]

=====

(4)
Computed, not measured: CdI6N4 after structural relaxation at the PBE level of DFT.

Output
volume	1507	Å³/cell
calculated formation energy	1614	meV/atom
total energy	-96.9	eV/cell

abc: 8.418 8.418 21.262
angles: 90.00 90.00 90.00
Space group I4_1/amd (No. 141, origin choice 2)
Symmetry-distinct sites (fractional):
Cd 0.000 0.250 0.375 [4 per cell]
I 0.000 0.071 0.766 [16 per cell]
I 0.000 0.250 0.187 [8 per cell]
N 0.179 0.071 0.375 [16 per cell]

=====

(5)
Computed, not measured: Nd7Pt3 after structural relaxation at the PBE level of DFT.

Output
volume	1173	Å³/cell
calculated formation energy	-738	meV/atom
total energy	-235.9	eV/cell

abc: 10.175 17.672 6.523
angles: 90.00 90.00 90.00
Space group Cmc2_1 (No. 36)
Symmetry-distinct sites (fractional):
Nd 0.000 0.038 0.000 [4 per cell]
Nd 0.000 0.167 0.485 [4 per cell]
Nd 0.000 0.373 0.694 [4 per cell]
Nd 0.191 0.436 0.193 [8 per cell]
Nd 0.194 0.231 0.000 [8 per cell]
Pt 0.000 0.311 0.253 [4 per cell]
Pt 0.217 0.095 0.253 [8 per cell]

=====

(6)
Computed, not measured: ZrVFe after structural relaxation at the PBE level of DFT.

Output
volume	371	Å³/cell
calculated formation energy	-187	meV/atom
distance to the lowest polymorph of the same formula	0.0	kJ/mol of atoms
total energy	-213.3	eV/cell

abc: 8.194 5.122 8.839
angles: 90.00 90.00 90.00
Space group Amm2 (No. 38)
Symmetry-distinct sites (fractional):
Zr 0.181 0.000 0.000 [4 per cell]
Zr 0.307 0.000 0.333 [4 per cell]
V 0.232 0.000 0.668 [4 per cell]
V 0.500 0.249 0.081 [4 per cell]
Fe 0.000 0.000 0.492 [2 per cell]
Fe 0.000 0.242 0.252 [4 per cell]
Fe 0.500 0.000 0.831 [2 per cell]

=====

(7)
Computed, not measured: Lu3O2F5 after structural relaxation at the PBE level of DFT.

Output
volume	497	Å³/cell
calculated formation energy	-4403	meV/atom
total energy	-293.5	eV/cell

abc: 5.533 17.014 5.275
angles: 90.00 90.00 90.00
Space group Pnma (No. 62)
Symmetry-distinct sites (fractional):
Lu 0.171 0.098 0.040 [8 per cell]
Lu 0.234 0.250 0.457 [4 per cell]
O 0.041 0.669 0.705 [8 per cell]
F 0.104 0.250 0.853 [4 per cell]
F 0.121 0.516 0.789 [8 per cell]
F 0.162 0.625 0.180 [8 per cell]

=====

(8)
Computed, not measured: RbTmI3 after structural relaxation at the PBE level of DFT.

Output
volume	796	Å³/cell
calculated formation energy	-1488	meV/atom
distance to the lowest polymorph of the same formula	0.0	kJ/mol of atoms
total energy	-65.3	eV/cell

abc: 10.246 4.322 17.966
angles: 90.00 90.00 90.00
Space group Pnma (No. 62)
Symmetry-distinct sites (fractional):
Rb 0.070 0.250 0.172 [4 per cell]
Tm 0.122 0.750 0.457 [4 per cell]
I 0.047 0.750 0.624 [4 per cell]
I 0.176 0.750 0.003 [4 per cell]
I 0.230 0.250 0.806 [4 per cell]

=====

(9)
Computed, not measured: CaHoCd2 after structural relaxation at the PBE level of DFT.

Output
volume	430	Å³/cell
calculated formation energy	-335	meV/atom
total energy	-39.1	eV/cell

abc: 7.548 7.548 7.548
angles: 90.00 90.00 90.00
Space group Fm-3m (No. 225)
Symmetry-distinct sites (fractional):
Ca 0.000 0.000 0.000 [4 per cell]
Ho 0.000 0.000 0.500 [4 per cell]
Cd 0.250 0.250 0.250 [8 per cell]

=====

(10)
Computed, not measured: TlBr3 after structural relaxation at the PBE level of DFT.

Output
volume	1030	Å³/cell
calculated formation energy	-793	meV/atom
total energy	-35.4	eV/cell

abc: 13.827 10.925 6.816
angles: 90.00 90.00 90.00
Space group Pnma (No. 62)
Symmetry-distinct sites (fractional):
Tl 0.248 0.250 0.168 [4 per cell]
Br 0.083 0.250 0.331 [4 per cell]
Br 0.162 0.555 0.576 [8 per cell]

=====

(11)
Computed, not measured: HgSb2Xe5F22 after structural relaxation at the PBE level of DFT.

Output
volume	2583	Å³/cell
calculated formation energy	-1645	meV/atom
total energy	-360.1	eV/cell

abc: 9.085 17.179 16.923
angles: 90.00 102.03 90.00
Space group P2_1/c (No. 14)
Symmetry-distinct sites (fractional):
Hg 0.238 0.122 0.253 [4 per cell]
Sb 0.010 0.236 0.026 [4 per cell]
Sb 0.478 0.606 0.797 [4 per cell]
Xe 0.082 0.147 0.767 [4 per cell]
Xe 0.215 0.000 0.465 [4 per cell]
Xe 0.266 0.022 0.039 [4 per cell]
Xe 0.297 0.629 0.284 [4 per cell]
Xe 0.495 0.748 0.564 [4 per cell]
F 0.003 0.540 0.767 [4 per cell]
F 0.063 0.631 0.484 [4 per cell]
F 0.067 0.641 0.265 [4 per cell]
F 0.089 0.160 0.542 [4 per cell]
F 0.110 0.740 0.078 [4 per cell]
F 0.137 0.207 0.130 [4 per cell]
F 0.148 0.735 0.921 [4 per cell]
F 0.166 0.089 0.376 [4 per cell]
F 0.174 0.205 0.977 [4 per cell]
F 0.179 0.242 0.305 [4 per cell]
F 0.182 0.033 0.149 [4 per cell]
F 0.257 0.585 0.051 [4 per cell]
F 0.288 0.658 0.773 [4 per cell]
F 0.332 0.052 0.679 [4 per cell]
F 0.335 0.013 0.933 [4 per cell]
F 0.376 0.507 0.805 [4 per cell]
F 0.423 0.203 0.713 [4 per cell]
F 0.448 0.656 0.486 [4 per cell]
F 0.456 0.158 0.353 [4 per cell]
F 0.467 0.116 0.192 [4 per cell]
F 0.467 0.586 0.684 [4 per cell]
F 0.489 0.621 0.910 [4 per cell]

=====

- The highest calculated formation energy belongs to which entry?
  CdI6N4